# 1
Compound: Mg6TiW
Source: Materials Project
Functional: PBE-GGA
Structure: relaxed

a b c (Å): 4.809 6.003 11.041
angles (deg): 90.00 90.00 90.00
Element x y z (fractional)
W1 0.500 0.000 0.698
W2 0.500 0.500 0.198
Mg1 0.000 0.000 0.328
Mg2 0.500 0.756 0.925
Mg3 0.500 0.000 0.173
Mg4 0.000 0.259 0.075
Mg5 0.500 0.256 0.425
Mg6 0.000 0.500 0.828
Mg7 0.500 0.500 0.673
Mg8 0.500 0.244 0.925
Mg9 0.000 0.759 0.575
Mg10 0.000 0.241 0.575
Mg11 0.000 0.741 0.075
Mg12 0.500 0.744 0.425
Ti1 0.000 0.500 0.300
Ti2 0.000 0.000 0.800

Results
The calculation puts the excess energy over the best structure of this formula in the dataset at 0 meV/atom.

---

# 2
Compound: Ti8Al4CN3
Source: Materials Project
Functional: PBE-GGA
Structure: relaxed

a b c (Å): 3.017 3.017 27.312
angles (deg): 90.00 90.00 120.00
Element x y z (fractional)
C1 0.000 0.000 0.500
Ti1 0.333 0.667 0.543
Ti2 0.333 0.667 0.042
Ti3 0.333 0.667 0.207
Ti4 0.667 0.333 0.793
Ti5 0.667 0.333 0.457
Ti6 0.667 0.333 0.958
Ti7 0.333 0.667 0.708
Ti8 0.667 0.333 0.292
Al1 0.667 0.333 0.626
Al2 0.333 0.667 0.875
Al3 0.667 0.333 0.125
Al4 0.333 0.667 0.374
N1 0.000 0.000 0.750
N2 0.000 0.000 0.250
N3 0.000 0.000 0.000

---

# 3
Compound: Ho3Lu
Source: Materials Project
Functional: PBE-GGA
Structure: relaxed

a b c (Å): 7.159 7.159 5.569
angles (deg): 90.00 90.00 120.00
Element x y z (fractional)
Ho1 0.833 0.167 0.750
Ho2 0.334 0.167 0.750
Ho3 0.167 0.833 0.250
Ho4 0.167 0.334 0.250
Ho5 0.833 0.666 0.750
Ho6 0.666 0.833 0.250
Lu1 0.333 0.667 0.750
Lu2 0.667 0.333 0.250

---

Number 1: formation energy 0.2453 eV/atom, calculated volume 318.8 Å³/cell. Number 2: formation energy -1.1175 eV/atom, calculated volume 215.3 Å³/cell. Number 3: formation energy 0.0077 eV/atom, calculated volume 247.2 Å³/cell.